An optimized crystal structure of UWC2. Source: the Materials Project database, functional GGA-PBE.

Unit cell a=3.935 b=5.279 c=10.663 alpha=90.00 beta=90.00 gamma=90.00
Fractional positions:
C1 0.750 0.860 0.344
U1 0.250 0.620 0.629
C2 0.250 0.140 0.656
W1 0.250 0.903 0.395
W2 0.750 0.097 0.605
U2 0.250 0.120 0.871
W3 0.750 0.597 0.895
U3 0.750 0.880 0.129
C3 0.750 0.266 0.011
C4 0.250 0.640 0.844
C5 0.750 0.360 0.156
W4 0.250 0.403 0.105
U4 0.750 0.380 0.371
C6 0.750 0.766 0.489
C7 0.250 0.234 0.511
C8 0.250 0.734 0.989

Values from the calculation:
- distance to the lowest polymorph of the same formula (meV/atom) = 550
- VASP energy (eV/f.u.) = -41.74
- E_form (eV/atom) = 0.24